VASP calculation (GGA+U) on crystalline K2MoC2O8 at its relaxed geometry.

Unit cell a=12.9422 b=7.5579 c=9.0714 alpha=85.75 beta=90.00 gamma=90.00
Fractional positions:
O (0.6255, 0.0260, 0.5990)
O (0.3745, 0.9740, 0.4010)
O (0.8745, 0.5260, 0.5990)
O (0.3101, 0.9218, 0.7072)
O (0.6899, 0.0782, 0.2928)
O (0.1255, 0.4740, 0.4010)
O (0.7176, 0.3236, 0.4872)
O (0.7824, 0.8236, 0.4872)
O (0.4702, 0.5625, 0.9839)
O (0.8156, 0.0897, 0.6882)
O (0.5659, 0.9956, 0.8325)
O (0.6844, 0.5897, 0.6882)
O (0.8920, 0.1287, 0.3946)
O (0.3156, 0.4103, 0.3118)
O (0.1080, 0.8713, 0.6054)
O (0.1844, 0.9103, 0.3118)
O (0.8101, 0.5782, 0.2928)
O (0.7656, 0.0813, 0.9271)
O (0.2176, 0.1764, 0.5128)
O (0.6080, 0.6287, 0.3946)
O (0.2656, 0.4187, 0.0729)
O (0.5298, 0.4375, 0.0161)
O (0.0298, 0.0625, 0.9839)
O (0.9341, 0.4956, 0.8325)
O (0.1899, 0.4218, 0.7072)
O (0.3920, 0.3713, 0.6054)
O (0.2824, 0.6764, 0.5128)
O (0.0659, 0.5044, 0.1675)
O (0.4341, 0.0044, 0.1675)
O (0.2344, 0.9187, 0.0729)
O (0.7344, 0.5813, 0.9271)
O (0.9702, 0.9375, 0.0161)
K (0.8671, 0.3405, 0.0999)
K (0.6329, 0.8405, 0.0999)
K (0.1329, 0.6595, 0.9001)
K (0.9853, 0.7697, 0.3705)
K (0.4853, 0.7303, 0.6295)
K (0.3671, 0.1595, 0.9001)
K (0.5147, 0.2697, 0.3705)
K (0.0147, 0.2303, 0.6295)
C (0.8636, 0.5280, 0.7405)
C (0.2519, 0.9298, 0.2067)
C (0.7481, 0.0702, 0.7933)
C (0.3636, 0.9720, 0.2595)
C (0.2481, 0.4298, 0.2067)
C (0.6364, 0.0280, 0.7405)
C (0.7519, 0.5702, 0.7933)
C (0.1364, 0.4720, 0.2595)
Mo (0.2340, 0.9339, 0.5453)
Mo (0.7340, 0.5661, 0.4547)
Mo (0.2660, 0.4339, 0.5453)
Mo (0.7660, 0.0661, 0.4547)

**Total energy**: -6.6609 eV/atom
**Symmetry**: P2_1/c

=====

VASP calculation (GGA+U) on crystalline NiS2O12 at its relaxed geometry.

Unit cell a=6.4400 b=7.4359 c=8.5319 alpha=111.88 beta=108.35 gamma=86.26
Fractional positions:
O (0.9701, 0.9403, 0.3141)
O (0.7011, 0.3861, 0.6701)
O (0.8524, 0.9253, 0.1634)
O (0.6841, 0.7234, 0.3959)
O (0.5480, 0.3845, 0.1922)
O (0.2989, 0.6139, 0.3299)
O (0.0299, 0.0597, 0.6859)
O (0.1476, 0.0747, 0.8366)
O (0.9597, 0.2288, 0.0919)
O (0.0403, 0.7712, 0.9081)
O (0.4520, 0.6155, 0.8078)
O (0.3159, 0.2766, 0.6041)
S (0.4895, 0.4262, 0.6950)
S (0.5105, 0.5738, 0.3050)
Ni (0.0000, 0.0000, 0.0000)

**Symmetry**: P-1
**E above lowest polymorph**: 36 meV/atom

=====

VASP calculation (GGA+U) on crystalline VOF at its relaxed geometry.

Unit cell a=4.9919 b=5.1182 c=5.1710 alpha=101.80 beta=90.00 gamma=90.00
Fractional positions:
O (0.7458, 0.9909, 0.4566)
O (0.2458, 0.5091, 0.5434)
O (0.2542, 0.0091, 0.5434)
O (0.7542, 0.4909, 0.4566)
F (0.3117, 0.3543, 0.0540)
F (0.1883, 0.8543, 0.0540)
F (0.8118, 0.1457, 0.9461)
F (0.6882, 0.6457, 0.9461)
V (0.5323, 0.2957, 0.6946)
V (0.9677, 0.7957, 0.6946)
V (0.4677, 0.7043, 0.3053)
V (0.0323, 0.2043, 0.3053)

**Total energy**: -7.1981 eV/atom
**Symmetry**: P2_1/c

=====

VASP calculation (GGA+U) on crystalline Na2NiPCO7 at its relaxed geometry.

Unit cell a=6.6180 b=8.9285 c=10.3514 alpha=88.51 beta=89.85 gamma=89.95
Fractional positions:
Ni (0.2478, 0.3497, 0.3923)
Ni (0.2535, 0.3525, 0.8905)
Ni (0.7525, 0.6515, 0.6041)
Ni (0.7540, 0.6480, 0.1123)
Na (0.5120, 0.2521, 0.1158)
Na (0.7699, 0.0761, 0.3883)
Na (0.4935, 0.7544, 0.8831)
Na (0.4639, 0.7345, 0.3783)
Na (0.9881, 0.2607, 0.6338)
Na (0.5104, 0.2610, 0.6300)
Na (0.0084, 0.7531, 0.8774)
Na (0.9897, 0.2524, 0.1120)
O (0.7511, 0.0680, 0.1598)
O (0.2471, 0.1363, 0.4711)
O (0.4394, 0.6708, 0.1056)
O (0.7503, 0.5767, 0.9257)
O (0.0637, 0.6676, 0.1012)
O (0.7476, 0.0704, 0.6462)
O (0.2477, 0.4273, 0.5760)
O (0.0596, 0.6740, 0.6181)
O (0.7404, 0.8311, 0.2378)
O (0.9350, 0.3213, 0.4001)
O (0.2503, 0.1420, 0.9707)
O (0.2554, 0.5384, 0.2903)
O (0.2513, 0.9372, 0.8485)
O (0.4362, 0.6735, 0.6053)
O (0.2580, 0.5461, 0.7959)
O (0.7474, 0.8360, 0.7360)
O (0.7379, 0.5689, 0.4271)
O (0.2464, 0.1761, 0.2617)
O (0.2513, 0.1716, 0.7614)
O (0.7398, 0.8666, 0.5253)
O (0.7544, 0.8678, 0.0286)
O (0.7520, 0.4474, 0.2095)
O (0.9405, 0.3307, 0.8922)
O (0.5642, 0.3153, 0.3949)
O (0.5646, 0.3282, 0.8939)
O (0.7491, 0.4552, 0.7065)
O (0.2541, 0.4230, 0.0725)
O (0.2641, 0.9392, 0.3404)
P (0.2497, 0.5793, 0.6452)
P (0.7485, 0.4183, 0.3599)
P (0.2513, 0.5753, 0.1420)
P (0.7512, 0.4247, 0.8568)
C (0.7483, 0.9270, 0.1417)
C (0.2532, 0.0771, 0.3570)
C (0.2509, 0.0770, 0.8592)
C (0.7444, 0.9286, 0.6374)

**Symmetry**: P1
**E above lowest polymorph**: 7 meV/atom

=====

VASP calculation (GGA+U) on crystalline Fe3SiP5O19 at its relaxed geometry.

Unit cell a=14.5815 b=14.5815 c=7.6410 alpha=90.00 beta=90.00 gamma=120.00
Fractional positions:
O (0.0387, 0.2417, 0.3174)
O (0.1172, 0.0433, 0.0005)
O (0.6013, 0.5423, 0.9905)
O (0.2080, 0.3047, 0.4919)
O (0.6153, 0.0723, 0.8241)
O (0.4494, 0.6940, 0.9624)
O (0.4489, 0.3987, 0.1590)
O (0.1574, 0.7331, 0.1605)
O (0.4577, 0.0590, 0.9905)
O (0.9567, 0.0738, 0.0005)
O (0.8828, 0.9567, 0.5005)
O (0.0738, 0.1172, 0.5005)
O (0.0000, 0.0000, 0.2430)
O (0.7297, 0.5885, 0.3252)
O (0.9277, 0.5430, 0.8241)
O (0.9015, 0.6374, 0.4855)
O (0.8426, 0.2669, 0.6605)
O (0.3987, 0.9498, 0.6590)
O (0.2417, 0.2031, 0.8174)
O (0.5423, 0.9410, 0.4905)
O (0.2703, 0.4115, 0.8252)
O (0.5782, 0.3594, 0.0280)
O (0.1412, 0.7297, 0.8252)
O (0.2113, 0.9666, 0.6530)
O (0.9262, 0.8828, 0.0005)
O (0.3047, 0.0967, 0.9919)
O (0.3060, 0.7554, 0.9624)
O (0.9613, 0.7583, 0.8174)
O (0.7920, 0.6953, 0.9919)
O (0.9666, 0.7553, 0.1530)
O (0.6406, 0.2187, 0.0280)
O (0.7887, 0.0334, 0.1530)
O (0.2447, 0.2113, 0.1530)
O (0.5511, 0.6013, 0.6590)
O (0.4218, 0.6406, 0.5280)
O (0.5885, 0.8588, 0.8252)
O (0.8588, 0.2703, 0.3252)
O (0.0433, 0.9262, 0.5005)
O (0.2669, 0.4244, 0.1605)
O (0.0590, 0.6013, 0.4905)
O (0.6667, 0.3333, 0.7439)
O (0.0723, 0.4570, 0.3241)
O (0.7813, 0.4218, 0.0280)
O (0.6374, 0.7360, 0.9855)
O (0.7360, 0.0985, 0.4855)
O (0.3847, 0.9277, 0.3241)
O (0.9410, 0.3987, 0.9905)
O (0.9033, 0.2080, 0.9919)
O (0.7553, 0.7887, 0.6530)
O (0.0502, 0.4489, 0.6590)
O (0.2640, 0.9015, 0.9855)
O (0.3626, 0.2640, 0.4855)
O (0.4244, 0.1574, 0.6605)
O (0.0967, 0.7920, 0.4919)
O (0.2446, 0.5506, 0.9624)
O (0.7969, 0.0387, 0.8174)
O (0.7554, 0.4494, 0.4624)
O (0.3987, 0.4577, 0.4905)
O (0.5506, 0.3060, 0.4624)
O (0.5756, 0.8426, 0.1605)
O (0.9498, 0.5511, 0.1590)
O (0.4115, 0.1412, 0.3252)
O (0.2031, 0.9613, 0.3174)
O (0.6940, 0.2446, 0.4624)
O (0.7331, 0.5756, 0.6605)
O (0.3594, 0.7813, 0.5280)
O (0.0000, 0.0000, 0.7430)
O (0.5430, 0.6153, 0.3241)
O (0.3333, 0.6667, 0.2439)
O (0.0334, 0.2447, 0.6530)
O (0.0985, 0.3626, 0.9855)
O (0.2187, 0.5782, 0.5280)
O (0.6013, 0.0502, 0.1590)
O (0.6953, 0.9033, 0.4919)
O (0.4570, 0.3847, 0.8241)
O (0.7583, 0.7969, 0.3174)
P (0.9055, 0.4828, 0.9968)
P (0.2320, 0.1463, 0.9896)
P (0.8537, 0.0857, 0.9896)
P (0.0857, 0.2320, 0.4896)
P (0.4320, 0.2109, 0.4849)
P (0.7680, 0.8537, 0.4896)
P (0.7789, 0.5680, 0.4849)
P (0.5773, 0.0945, 0.9968)
P (0.9143, 0.7680, 0.9896)
P (0.7891, 0.2211, 0.4849)
P (0.0945, 0.5172, 0.4968)
P (0.0000, 0.0000, 0.9321)
P (0.2211, 0.4320, 0.9849)
P (0.5172, 0.4227, 0.9968)
P (0.2109, 0.7789, 0.9849)
P (0.1463, 0.9143, 0.4896)
P (0.4227, 0.9055, 0.4968)
P (0.4828, 0.5773, 0.4968)
P (0.0000, 0.0000, 0.4321)
P (0.5680, 0.7891, 0.9849)
Si (0.3333, 0.6667, 0.0352)
Si (0.3333, 0.6667, 0.4524)
Si (0.6667, 0.3333, 0.9524)
Si (0.6667, 0.3333, 0.5352)
Fe (0.3255, 0.3372, 0.6916)
Fe (0.3193, 0.3427, 0.2885)
Fe (0.6745, 0.6628, 0.1916)
Fe (0.0234, 0.6807, 0.2885)
Fe (0.0117, 0.6745, 0.6916)
Fe (0.6628, 0.9883, 0.6916)
Fe (0.9883, 0.3255, 0.1916)
Fe (0.9766, 0.3193, 0.7885)
Fe (0.3372, 0.0117, 0.1916)
Fe (0.6573, 0.9766, 0.2885)
Fe (0.6807, 0.6573, 0.7885)
Fe (0.3427, 0.0234, 0.7885)

**Total energy**: -7.2105 eV/atom
**Symmetry**: P6_3

=====

VASP calculation (GGA+U) on crystalline FeO2 at its relaxed geometry.

Unit cell a=2.9914 b=2.9914 c=4.8281 alpha=90.00 beta=90.00 gamma=120.00
Fractional positions:
O (0.3333, 0.6667, 0.3002)
O (0.6667, 0.3333, 0.6998)
Fe (0.0000, 0.0000, 0.5000)

**Total energy**: -6.0600 eV/atom
**Symmetry**: P-3m1